Record 1
Below is a relaxed structure of Ba4Ga3Ge20, with properties calculated at the PBE level.

a = 11.0486 Å, b = 11.0486 Å, c = 11.0486 Å
α = 90.00°, β = 90.00°, γ = 90.00°
Positions (direct):
Ba: 0.2500 0.0000 0.5000
Ba: 0.7500 0.0000 0.5000
Ba: 0.5000 0.2500 0.0000
Ba: 0.5000 0.7500 0.0000
Ba: 0.0000 0.5000 0.2500
Ba: 0.0000 0.5000 0.7500
Ba: 0.0000 0.0000 0.0000
Ba: 0.5000 0.5000 0.5000
Ga: 0.2500 0.5000 0.0000
Ga: 0.7500 0.5000 0.0000
Ga: 0.0000 0.2500 0.5000
Ga: 0.0000 0.7500 0.5000
Ga: 0.5000 0.0000 0.2500
Ga: 0.5000 0.0000 0.7500
Ge: 0.0000 0.1186 0.3086
Ge: 0.0000 0.8814 0.6914
Ge: 0.0000 0.8814 0.3086
Ge: 0.0000 0.1186 0.6914
Ge: 0.3086 0.0000 0.1186
Ge: 0.6186 0.5000 0.1914
Ge: 0.6914 0.0000 0.8814
Ge: 0.3814 0.5000 0.8086
Ge: 0.3086 0.0000 0.8814
Ge: 0.3814 0.5000 0.1914
Ge: 0.6914 0.0000 0.1186
Ge: 0.6186 0.5000 0.8086
Ge: 0.1186 0.3086 0.0000
Ge: 0.5000 0.8086 0.3814
Ge: 0.8814 0.6914 0.0000
Ge: 0.5000 0.1914 0.6186
Ge: 0.1186 0.6914 0.0000
Ge: 0.5000 0.1914 0.3814
Ge: 0.8814 0.3086 0.0000
Ge: 0.5000 0.8086 0.6186
Ge: 0.1914 0.6186 0.5000
Ge: 0.8086 0.3814 0.5000
Ge: 0.1914 0.3814 0.5000
Ge: 0.8086 0.6186 0.5000
Ge: 0.1846 0.1846 0.1846
Ge: 0.8154 0.8154 0.8154
Ge: 0.8154 0.8154 0.1846
Ge: 0.8154 0.1846 0.8154
Ge: 0.6846 0.6846 0.3154
Ge: 0.1846 0.1846 0.8154
Ge: 0.1846 0.8154 0.1846
Ge: 0.3154 0.3154 0.6846
Ge: 0.1846 0.8154 0.8154
Ge: 0.3154 0.3154 0.3154
Ge: 0.8154 0.1846 0.1846
Ge: 0.6846 0.6846 0.6846
Ge: 0.6846 0.3154 0.6846
Ge: 0.3154 0.6846 0.3154
Ge: 0.3154 0.6846 0.6846
Ge: 0.6846 0.3154 0.3154

Record 2
Below is a relaxed structure of BaGaGeH, with properties calculated at the PBE level.

a = 4.3780 Å, b = 4.3780 Å, c = 5.2696 Å
α = 90.00°, β = 90.00°, γ = 120.00°
Positions (direct):
Ba: 0.3333 0.6667 0.0000
Ga: 0.0000 0.0000 0.5505
Ge: 0.6667 0.3333 0.4464
H: 0.0000 0.0000 0.8830

Record 3
Below is a relaxed structure of Ba2GaGeN, with properties calculated at the PBE level.

a = 4.2523 Å, b = 7.3179 Å, c = 9.4054 Å
α = 71.14°, β = 90.00°, γ = 90.00°
Positions (direct):
Ba: 0.7500 0.8097 0.3830
Ba: 0.7500 0.7952 0.9618
Ba: 0.2500 0.1903 0.6170
Ba: 0.2500 0.2048 0.0382
Ga: 0.2500 0.5404 0.2459
Ga: 0.7500 0.4596 0.7541
Ge: 0.2500 0.6602 0.7032
Ge: 0.7500 0.3398 0.2968
N: 0.2500 0.8153 0.1733
N: 0.7500 0.1847 0.8267

Record 4
Below is a relaxed structure of Ba3Ga2Ge4O14, with properties calculated at the PBE level.

a = 8.7098 Å, b = 8.7098 Å, c = 5.0944 Å
α = 90.00°, β = 90.00°, γ = 120.00°
Positions (direct):
Ba: 0.5730 0.0000 0.0000
Ba: 0.4270 0.4270 0.0000
Ba: 0.0000 0.5730 0.0000
Ga: 0.6667 0.3333 0.5001
Ga: 0.3333 0.6667 0.4999
Ge: 0.0000 0.2446 0.5000
Ge: 0.2446 0.0000 0.5000
Ge: 0.7554 0.7554 0.5000
Ge: 0.0000 0.0000 0.0000
O: 0.2845 0.8368 0.6511
O: 0.8368 0.2845 0.3489
O: 0.3333 0.6667 0.1512
O: 0.0972 0.8919 0.2309
O: 0.7947 0.9028 0.2309
O: 0.2053 0.1081 0.7691
O: 0.5524 0.7155 0.6511
O: 0.1632 0.4476 0.6511
O: 0.6667 0.3333 0.8488
O: 0.7155 0.5524 0.3489
O: 0.8919 0.0972 0.7691
O: 0.4476 0.1632 0.3489
O: 0.9028 0.7947 0.7691
O: 0.1081 0.2053 0.2309

Record 5
Below is a relaxed structure of BaGaH5, with properties calculated at the PBE level.

a = 4.6067 Å, b = 5.0167 Å, c = 8.7479 Å
α = 90.00°, β = 90.00°, γ = 90.00°
Positions (direct):
Ba: 0.2597 0.7501 0.6623
Ba: 0.7597 0.2499 0.3377
Ga: 0.6702 0.2502 0.8574
Ga: 0.1702 0.7498 0.1426
H: 0.3236 0.2503 0.8383
H: 0.8236 0.7497 0.1617
H: 0.7760 0.9920 0.7636
H: 0.2760 0.0080 0.2364
H: 0.7761 0.5091 0.7643
H: 0.2761 0.4909 0.2357
H: 0.7823 0.2494 0.0272
H: 0.2823 0.7506 0.9728
H: 0.2636 0.2501 0.5148
H: 0.7636 0.7499 0.4852

Calculated values
Maximum piezoelectric response ... 0.2 C/m2

Record 6
Below is a relaxed structure of BaGaH5, with properties calculated at the PBE level.

a = 4.6117 Å, b = 5.0246 Å, c = 8.5986 Å
α = 89.83°, β = 90.00°, γ = 90.00°
Positions (direct):
Ba: 0.7582 0.7542 0.3399
Ba: 0.2582 0.2458 0.6601
Ga: 0.1708 0.2560 0.1441
Ga: 0.6708 0.7440 0.8559
H: 0.8221 0.2559 0.1578
H: 0.3221 0.7441 0.8422
H: 0.2719 0.0086 0.2501
H: 0.7719 0.9914 0.7499
H: 0.2716 0.5227 0.2318
H: 0.7716 0.4773 0.7682
H: 0.2956 0.2393 0.9740
H: 0.7956 0.7607 0.0260
H: 0.7612 0.2535 0.4829
H: 0.2612 0.7465 0.5171

Record 7
Below is a relaxed structure of BaGaH4, with properties calculated at the PBE level.

a = 4.7073 Å, b = 5.1797 Å, c = 8.7544 Å
α = 89.87°, β = 90.00°, γ = 90.00°
Positions (direct):
Ba: 0.2573 0.7550 0.3192
Ba: 0.7573 0.2450 0.6808
Ga: 0.6711 0.2558 0.1485
Ga: 0.1711 0.7442 0.8515
H: 0.3310 0.2559 0.1620
H: 0.8310 0.7441 0.8380
H: 0.7712 0.0114 0.2500
H: 0.2712 0.9886 0.7500
H: 0.7706 0.5170 0.2328
H: 0.2706 0.4830 0.7672
H: 0.7894 0.2405 0.9792
H: 0.2894 0.7595 0.0208

Record 8
Below is a relaxed structure of BaGaSiH, with properties calculated at the PBE level.

a = 4.3015 Å, b = 4.3015 Å, c = 5.2703 Å
α = 90.00°, β = 90.00°, γ = 120.00°
Positions (direct):
Ba: 0.0000 0.0000 0.0000
Ga: 0.6667 0.3333 0.5423
Si: 0.3333 0.6667 0.4555
H: 0.6667 0.3333 0.8759

Calculated values
Maximum piezoelectric response ... 0.5 C/m2

Record 9
Below is a relaxed structure of Ba6Ho2Ga4O15, with properties calculated at the PBE level.

a = 6.0324 Å, b = 8.0447 Å, c = 18.6351 Å
α = 88.66°, β = 90.00°, γ = 90.00°
Positions (direct):
Ba: 0.7561 0.4986 0.0785
Ba: 0.2439 0.5014 0.9215
Ba: 0.7561 0.5014 0.4215
Ba: 0.2439 0.4986 0.5785
Ba: 0.7449 0.9720 0.0896
Ba: 0.2551 0.0280 0.9104
Ba: 0.7449 0.0280 0.4104
Ba: 0.2551 0.9720 0.5896
Ba: 0.7221 0.0000 0.7500
Ba: 0.2779 0.0000 0.2500
Ba: 0.6679 0.5000 0.7500
Ba: 0.3321 0.5000 0.2500
Ho: 0.7450 0.7514 0.9102
Ho: 0.2550 0.2486 0.0898
Ho: 0.7450 0.2486 0.5898
Ho: 0.2550 0.7514 0.4102
Ga: 0.7508 0.7537 0.5584
Ga: 0.2492 0.2463 0.4416
Ga: 0.7508 0.2463 0.9416
Ga: 0.2492 0.7537 0.0584
Ga: 0.7751 0.7702 0.2664
Ga: 0.2249 0.2298 0.7336
Ga: 0.7751 0.2298 0.2336
Ga: 0.2249 0.7702 0.7664
O: 0.2058 0.0000 0.7500
O: 0.7942 0.0000 0.2500
O: 0.5037 0.7649 0.9998
O: 0.4963 0.2351 0.0002
O: 0.5037 0.2351 0.5002
O: 0.4963 0.7649 0.4998
O: 0.7609 0.9538 0.6080
O: 0.2391 0.0462 0.3920
O: 0.7609 0.0462 0.8920
O: 0.2391 0.9538 0.1080
O: 0.0035 0.7634 0.9946
O: 0.9965 0.2366 0.0054
O: 0.0035 0.2366 0.5054
O: 0.9965 0.7634 0.4946
O: 0.3258 0.6885 0.6821
O: 0.6742 0.3115 0.3179
O: 0.3258 0.3115 0.8179
O: 0.6742 0.6885 0.1821
O: 0.4521 0.7492 0.8359
O: 0.5479 0.2508 0.1641
O: 0.4521 0.2508 0.6641
O: 0.5479 0.7492 0.3359
O: 0.9563 0.7262 0.8108
O: 0.0437 0.2738 0.1892
O: 0.9563 0.2738 0.6892
O: 0.0437 0.7262 0.3108
O: 0.7554 0.5318 0.5916
O: 0.2446 0.4682 0.4084
O: 0.7554 0.4682 0.9084
O: 0.2446 0.5318 0.0916

Record 10
Below is a relaxed structure of BaInGa, with properties calculated at the PBE level.

a = 6.4490 Å, b = 6.4490 Å, c = 8.3783 Å
α = 49.94°, β = 49.94°, γ = 46.87°
Positions (direct):
Ba: 0.7488 0.7488 0.6992
Ba: 0.2512 0.2512 0.3008
In: 0.5745 0.5745 0.2584
In: 0.4255 0.4255 0.7416
Ga: 0.0673 0.0673 0.0858
Ga: 0.9327 0.9327 0.9142

Record 11
Below is a relaxed structure of KBa6Zn4Ga7O21, with properties calculated at the PBE level.

a = 10.9714 Å, b = 10.9795 Å, c = 11.9654 Å
α = 90.00°, β = 90.19°, γ = 119.92°
Positions (direct):
K: 0.6661 0.3328 0.5983
K: 0.3337 0.6655 0.0971
Ba: 0.2688 0.1437 0.0362
Ba: 0.3975 0.2019 0.3664
Ba: 0.8002 0.6034 0.3646
Ba: 0.8745 0.7317 0.0360
Ba: 0.1270 0.8604 0.5422
Ba: 0.8007 0.1980 0.3654
Ba: 0.1969 0.8026 0.8627
Ba: 0.8580 0.1244 0.0385
Ba: 0.1995 0.3951 0.8645
Ba: 0.1452 0.2660 0.5406
Ba: 0.6048 0.8018 0.8663
Ba: 0.7342 0.8756 0.5375
Zn: 0.3403 0.1747 0.7194
Zn: 0.5277 0.5236 0.1125
Zn: 0.4750 0.0042 0.1115
Zn: 0.8334 0.6591 0.7223
Zn: 0.9945 0.4693 0.1121
Zn: 0.0042 0.4738 0.6123
Zn: 0.4698 0.9986 0.6104
Zn: 0.4402 0.5697 0.3713
Ga: 0.5708 0.4413 0.8676
Ga: 0.5611 0.1310 0.8688
Ga: 0.6662 0.3333 0.1868
Ga: 0.0023 0.0030 0.7968
Ga: 0.8682 0.4313 0.8658
Ga: 0.8227 0.1658 0.7226
Ga: 0.1666 0.8228 0.2222
Ga: 0.1331 0.5645 0.3688
Ga: 0.4297 0.8673 0.3684
Ga: 0.3316 0.6641 0.6872
Ga: 0.1793 0.3452 0.2219
Ga: 0.6570 0.8332 0.2235
Ga: 0.5273 0.5288 0.6119
Ga: 0.9991 0.9998 0.2964
O: 0.1571 0.1640 0.2410
O: 0.4359 0.4166 0.9719
O: 0.4782 0.3910 0.7261
O: 0.3725 0.1081 0.5769
O: 0.3768 0.0893 0.8540
O: 0.4889 0.1830 0.1548
O: 0.7130 0.6266 0.8563
O: 0.7223 0.6201 0.5809
O: 0.6949 0.5112 0.1546
O: 0.6662 0.3338 0.8855
O: 0.6672 0.3331 0.3498
O: 0.5836 0.0188 0.9738
O: 0.6246 0.0959 0.7302
O: 0.0059 0.8411 0.2406
O: 0.0051 0.8451 0.7402
O: 0.9066 0.5233 0.7281
O: 0.8159 0.3048 0.1555
O: 0.9813 0.5610 0.9729
O: 0.0162 0.5789 0.4724
O: 0.8880 0.2564 0.5863
O: 0.9054 0.2817 0.8492
O: 0.0942 0.6244 0.2292
O: 0.2591 0.8871 0.0868
O: 0.2842 0.9096 0.3465
O: 0.8364 0.9972 0.2386
O: 0.3088 0.8156 0.6545
O: 0.0933 0.3780 0.3468
O: 0.1093 0.3695 0.0864
O: 0.1843 0.4869 0.6537
O: 0.3297 0.6709 0.3878
O: 0.9980 0.9998 0.9525
O: 0.3352 0.6669 0.8490
O: 0.5639 0.9803 0.4724
O: 0.5289 0.9048 0.2298
O: 0.1573 0.1678 0.7430
O: 0.3746 0.4649 0.2258
O: 0.5077 0.6833 0.6536
O: 0.4232 0.4328 0.4859
O: 0.6282 0.7413 0.0868
O: 0.6360 0.7252 0.3485
O: 0.8368 0.0034 0.7424
O: 0.9984 0.9990 0.4508

Record 12
Below is a relaxed structure of Ba5La3Ga4O16, with properties calculated at the PBE level.

a = 6.0113 Å, b = 7.4868 Å, c = 10.1680 Å
α = 89.68°, β = 89.66°, γ = 89.54°
Positions (direct):
Ba: 0.2565 0.8348 0.6733
Ba: 0.7596 0.1672 0.8291
Ba: 0.7417 0.6633 0.1669
Ba: 0.2402 0.3341 0.3280
Ba: 0.2669 0.9945 0.0539
La: 0.7637 0.0057 0.4516
La: 0.7336 0.5044 0.5462
La: 0.2363 0.4935 0.9491
Ga: 0.2374 0.7748 0.3400
Ga: 0.7401 0.2293 0.1674
Ga: 0.7571 0.7111 0.8288
Ga: 0.2584 0.2839 0.6604
O: 0.2422 0.6481 0.1806
O: 0.7421 0.3513 0.3293
O: 0.7519 0.8488 0.6720
O: 0.2520 0.1618 0.8206
O: 0.1245 0.0047 0.3160
O: 0.6553 0.9996 0.2137
O: 0.8715 0.4888 0.7797
O: 0.3743 0.5060 0.7023
O: 0.0084 0.6818 0.4461
O: 0.5122 0.3232 0.0606
O: 0.9895 0.7863 0.9351
O: 0.4929 0.1931 0.5548
O: 0.5056 0.7387 0.4284
O: 0.9954 0.2900 0.0740
O: 0.4963 0.7412 0.9228
O: 0.9945 0.2400 0.5694

| no. | formation enthalpy at 0 K (eV per atom) | raw total energy (eV per atom) |
| --- | --- | --- |
| 1 | -0.234 | -4.279 |
| 2 | -0.534 | -3.730 |
| 3 | -0.657 | -4.550 |
| 4 | -2.528 | -6.440 |
| 5 | -0.365 | -3.368 |
| 6 | -0.365 | -3.367 |
| 7 | -0.238 | -3.205 |
| 8 | -0.456 | -3.852 |
| 9 | -3.003 | -6.585 |
| 10 | -0.454 | -3.020 |
| 11 | -2.472 | -5.763 |
| 12 | -2.969 | -6.708 |